Nd2Te4O11 | the Materials Project | meta-GGA r2SCAN | optimized geometry; ΔE_f = -2003 meV per atom; VASP energy = -15.309 eV per atom
1.0
3.8231 -3.9608 -4.0676
5.6200 -3.8134 0.8500
-5.6912 -15.1126 2.5325
Nd Te O
4 8 22
Direct
0.1366 0.6275 0.5373
0.3725 0.8634 0.9627
0.8634 0.3725 0.4627
0.6275 0.1366 0.0373
0.6057 0.1550 0.7014
0.8450 0.3943 0.7986
0.3943 0.8450 0.2986
0.1550 0.6057 0.2014
0.1497 0.5895 0.8720
0.4105 0.8503 0.6280
0.8503 0.4105 0.1280
0.5895 0.1497 0.3720
0.8509 0.1491 0.7500
0.1491 0.8509 0.2500
0.1989 0.0947 0.8287
0.9053 0.8011 0.6713
0.8011 0.9053 0.1713
0.0947 0.1989 0.3287
0.6190 0.4314 0.8999
0.5686 0.3810 0.6001
0.3810 0.5686 0.1001
0.4314 0.6190 0.3999
0.0481 0.8070 0.9529
0.1930 0.9519 0.5471
0.6812 0.8161 0.3718
0.1839 0.3188 0.1282
0.3188 0.1839 0.6282
0.8161 0.6812 0.8718
0.2539 0.3308 0.4429
0.6692 0.7461 0.0571
0.7461 0.6692 0.5571
0.3308 0.2539 0.9429
0.8070 0.0481 0.4529
0.9519 0.1930 0.0471

NdTh9O20 | the Materials Project | meta-GGA r2SCAN | optimized geometry; ΔE_f = -4093 meV per atom; VASP energy = -31.097 eV per atom
1.0
-4.9278 4.4497 1.7320
-0.6989 -6.2007 4.8773
6.8359 4.4680 3.4393
Nd Th O
1 9 20
Direct
0.0000 0.5000 0.0000
0.7999 0.5998 0.6016
0.6024 0.2012 0.1994
0.8006 0.1012 0.6016
0.3976 0.7988 0.8006
0.5998 0.6989 0.1988
0.2001 0.4002 0.3984
0.4002 0.3011 0.8012
0.0000 0.0000 0.0000
0.1994 0.8988 0.3984
0.6489 0.9251 0.0494
0.4490 0.5252 0.6491
0.6446 0.4233 0.0513
0.7451 0.3726 0.7455
0.2525 0.1254 0.2499
0.4490 0.0239 0.6498
0.0504 0.7291 0.8473
0.5510 0.9761 0.3502
0.7475 0.8746 0.7501
0.2549 0.6274 0.2545
0.3554 0.5767 0.9487
0.8514 0.3258 0.4507
0.0510 0.2196 0.8470
0.5510 0.4748 0.3509
0.1498 0.1751 0.5487
0.3511 0.0749 0.9506
0.8502 0.8249 0.4513
0.9490 0.7804 0.1530
0.1486 0.6742 0.5493
0.9496 0.2709 0.1527

Nd2Ti4O11 | the Materials Project | meta-GGA r2SCAN | optimized geometry; ΔE_f = -3511 meV per atom; VASP energy = -13.880 eV per atom
1.0
2.5480 6.7899 -0.0017
-2.5480 6.7899 -0.0017
0.0000 4.1161 12.0731
Nd Ti O
4 8 22
Direct
0.2031 0.1923 0.9060
0.1923 0.2031 0.4060
0.7969 0.8077 0.0940
0.8077 0.7969 0.5940
0.9479 0.8325 0.8094
0.5829 0.4783 0.5974
0.1675 0.0521 0.6906
0.0521 0.1675 0.1906
0.4783 0.5829 0.0974
0.4171 0.5217 0.4026
0.8325 0.9479 0.3094
0.5217 0.4171 0.9026
0.9453 0.6150 0.7771
0.3871 0.9292 0.0967
0.5813 0.2828 0.0560
0.6150 0.9453 0.2771
0.8152 0.0951 0.6680
0.4189 0.8590 0.5613
0.4187 0.7172 0.9440
0.9292 0.3871 0.5967
0.1848 0.9049 0.3320
0.3473 0.6527 0.7500
0.5811 0.1410 0.4387
0.1410 0.5811 0.9387
0.6129 0.0708 0.9033
0.3850 0.0547 0.7229
0.0951 0.8152 0.1680
0.0708 0.6129 0.4033
0.7172 0.4187 0.4440
0.8590 0.4189 0.0613
0.2828 0.5813 0.5560
0.6527 0.3473 0.2500
0.9049 0.1848 0.8320
0.0547 0.3850 0.2229

Nd2TiO5 | the Materials Project | meta-GGA r2SCAN | optimized geometry; ΔE_f = -3649 meV per atom; VASP energy = -16.354 eV per atom
1.0
3.8366 0.0000 0.0000
0.0000 10.7603 0.0000
0.0000 0.0000 11.4852
Nd Ti O
8 4 20
Direct
0.7500 0.1054 0.7197
0.2500 0.8946 0.2803
0.7500 0.6054 0.7803
0.2500 0.3946 0.2197
0.2500 0.3625 0.5564
0.7500 0.6375 0.4436
0.2500 0.8625 0.9436
0.7500 0.1375 0.0564
0.2500 0.3167 0.8758
0.7500 0.6833 0.1242
0.2500 0.8167 0.6242
0.7500 0.1833 0.3758
0.2500 0.4779 0.8406
0.7500 0.5221 0.1594
0.2500 0.9779 0.6594
0.7500 0.0221 0.3406
0.2500 0.2331 0.7294
0.7500 0.7669 0.2706
0.2500 0.7331 0.7706
0.7500 0.2669 0.2294
0.7500 0.2634 0.8785
0.2500 0.7366 0.1215
0.7500 0.7634 0.6215
0.2500 0.2366 0.3785
0.2500 0.0089 0.1038
0.7500 0.9911 0.8962
0.2500 0.5089 0.3962
0.7500 0.4911 0.6038
0.2500 0.2769 0.0360
0.7500 0.7231 0.9640
0.2500 0.7769 0.4640
0.7500 0.2231 0.5360

NdVO3 | the Materials Project | meta-GGA r2SCAN | optimized geometry; ΔE_f = -3249 meV per atom; VASP energy = -15.534 eV per atom
1.0
5.4472 0.0000 0.0000
0.0000 5.6796 0.0000
0.0000 0.0000 7.7125
Nd V O
4 4 12
Direct
0.9871 0.0549 0.2500
0.4871 0.4451 0.7500
0.5129 0.5549 0.2500
0.0129 0.9451 0.7500
0.5000 0.0000 0.0000
0.0000 0.5000 0.0000
0.0000 0.5000 0.5000
0.5000 0.0000 0.5000
0.0898 0.4710 0.2500
0.5898 0.0290 0.7500
0.4102 0.9710 0.2500
0.9102 0.5290 0.7500
0.7078 0.3001 0.0460
0.2078 0.1999 0.9540
0.7922 0.8001 0.4540
0.2922 0.6999 0.5460
0.2922 0.6999 0.9540
0.7922 0.8001 0.0460
0.2078 0.1999 0.5460
0.7078 0.3001 0.4540

Nd2WO6 | the Materials Project | meta-GGA r2SCAN | optimized geometry; ΔE_f = -3238 meV per atom; VASP energy = -19.464 eV per atom
1.0
5.3962 0.0000 0.0000
0.0000 9.3168 0.0000
0.0000 0.0000 10.1997
Nd W O
8 4 24
Direct
0.4751 0.6041 0.5373
0.9751 0.8959 0.4627
0.5249 0.1041 0.9627
0.0249 0.3959 0.0373
0.9693 0.7810 0.8691
0.4693 0.7190 0.1309
0.0307 0.2810 0.6309
0.5307 0.2190 0.3691
0.4579 0.9959 0.6487
0.9579 0.5041 0.3513
0.5421 0.4959 0.8513
0.0421 0.0041 0.1487
0.2479 0.0897 0.5099
0.7479 0.4103 0.4901
0.7521 0.5897 0.9901
0.2521 0.9103 0.0099
0.7204 0.1103 0.5647
0.2204 0.3897 0.4353
0.2796 0.6103 0.9353
0.7796 0.8897 0.0647
0.5674 0.8502 0.5246
0.0674 0.6498 0.4754
0.4326 0.3502 0.9754
0.9326 0.1498 0.0246
0.1846 0.8632 0.2595
0.6846 0.6368 0.7405
0.8154 0.3632 0.2405
0.3154 0.1368 0.7595
0.8295 0.0498 0.2861
0.3295 0.4502 0.7139
0.1705 0.5498 0.2139
0.6705 0.9502 0.7861
0.3076 0.1357 0.1783
0.8076 0.3643 0.8217
0.6924 0.6357 0.3217
0.1924 0.8643 0.6783

YbNdO3 | the Materials Project | meta-GGA r2SCAN | optimized geometry; ΔE_f = -3364 meV per atom; VASP energy = -20.137 eV per atom
1.0
-1.9271 -1.7927 3.2624
2.8340 -3.0885 -0.0231
2.4136 2.1950 2.6319
Yb Nd O
1 1 3
Direct
0.5000 0.5000 0.5000
0.0000 0.0000 0.0000
0.5000 0.5000 0.0000
0.5000 0.0000 0.5000
0.0000 0.5000 0.5000

Nd2Zr2O7 | the Materials Project | meta-GGA r2SCAN | optimized geometry; ΔE_f = -3789 meV per atom; VASP energy = -17.075 eV per atom
1.0
5.0946 -3.5910 4.2938
-1.6227 -1.6664 7.2025
-1.1732 -7.1912 2.0488
Nd Zr O
4 4 14
Direct
0.1250 0.1250 0.1250
0.6250 0.1250 0.1250
0.1250 0.1250 0.6250
0.1250 0.6250 0.1250
0.6250 0.6250 0.6250
0.1250 0.6250 0.6250
0.6250 0.6250 0.1250
0.6250 0.1250 0.6250
0.0000 0.0000 0.0000
0.2500 0.2500 0.2500
0.2904 0.2904 0.7096
0.5404 0.5404 0.9596
0.7096 0.2904 0.7096
0.7096 0.2904 0.2904
0.2904 0.7096 0.7096
0.2904 0.7096 0.2904
0.7096 0.7096 0.2904
0.9596 0.5404 0.5404
0.5404 0.9596 0.9596
0.9596 0.9596 0.5404
0.9596 0.5404 0.9596
0.5404 0.9596 0.5404

Number 1: volume 521.5 Å³/cell. Number 2: volume 439.5 Å³/cell. Number 3: volume 417.8 Å³/cell. Number 4: volume 474.1 Å³/cell. Number 5: volume 238.6 Å³/cell. Number 6: volume 512.8 Å³/cell. Number 7: volume 73.7 Å³/cell. Number 8: volume 306.6 Å³/cell.